No. 1
BaUTe6 (r2SCAN, relaxed); M_tot = 2.000 μB/f.u.; space group = P2_1/c; formation enthalpy at 0 K = -90.58 kJ per mole of atoms
1.0
15.332 0.000 0.000
0.000 8.232 0.032
0.000 0.268 9.051
Te Ba U
24 4 4
Direct
0.103 0.611 0.973 Te
0.604 0.138 0.388 Te
0.447 0.612 0.822 Te
0.194 0.626 0.395 Te
0.694 0.874 0.605 Te
0.897 0.389 0.027 Te
0.553 0.388 0.178 Te
0.603 0.889 0.027 Te
0.806 0.374 0.605 Te
0.615 0.631 0.421 Te
0.947 0.888 0.178 Te
0.115 0.869 0.579 Te
0.737 0.650 0.004 Te
0.237 0.850 0.996 Te
0.263 0.350 0.996 Te
0.053 0.112 0.822 Te
0.896 0.638 0.388 Te
0.104 0.362 0.612 Te
0.397 0.111 0.973 Te
0.763 0.150 0.004 Te
0.306 0.126 0.395 Te
0.885 0.131 0.421 Te
0.396 0.862 0.612 Te
0.385 0.369 0.579 Te
0.910 0.768 0.761 Ba
0.410 0.732 0.239 Ba
0.590 0.268 0.761 Ba
0.090 0.232 0.239 Ba
0.251 0.112 0.727 U
0.249 0.612 0.727 U
0.749 0.888 0.273 U
0.751 0.388 0.273 U

***

No. 2
BaY2Te4 (r2SCAN, relaxed); M_tot = 0.000 μB/f.u.; space group = Pnma; formation enthalpy at 0 K = -176.75 kJ per mole of atoms
1.0
-0.270 3.749 2.459
-10.846 -5.216 6.761
10.033 -6.531 11.057
Te Y Ba
16 8 4
Direct
0.250 0.873 0.528 Te
0.750 0.410 0.424 Te
0.750 0.127 0.472 Te
0.750 0.627 0.028 Te
0.250 0.590 0.576 Te
0.250 0.472 0.216 Te
0.750 0.528 0.784 Te
0.750 0.704 0.339 Te
0.250 0.090 0.924 Te
0.750 0.910 0.076 Te
0.250 0.972 0.284 Te
0.750 0.028 0.716 Te
0.250 0.796 0.839 Te
0.250 0.373 0.972 Te
0.750 0.204 0.161 Te
0.250 0.296 0.661 Te
0.750 0.441 0.610 Y
0.750 0.419 0.097 Y
0.250 0.581 0.903 Y
0.250 0.059 0.110 Y
0.750 0.941 0.890 Y
0.250 0.559 0.390 Y
0.750 0.919 0.403 Y
0.250 0.081 0.597 Y
0.750 0.261 0.830 Ba
0.250 0.739 0.170 Ba
0.250 0.239 0.330 Ba
0.750 0.761 0.670 Ba

***

No. 3
BaTl3 (r2SCAN, relaxed); M_tot = 0.000 μB/f.u.; space group = P6_3/mmc; formation enthalpy at 0 K = -34.68 kJ per mole of atoms
1.0
-4.356 6.443 -0.835
-2.947 -6.270 3.631
1.743 1.754 4.442
Ba Tl
2 6
Direct
0.667 0.333 0.250 Ba
0.333 0.667 0.750 Ba
0.853 0.706 0.750 Tl
0.706 0.853 0.250 Tl
0.147 0.294 0.250 Tl
0.147 0.853 0.250 Tl
0.853 0.147 0.750 Tl
0.294 0.147 0.750 Tl

***

No. 4
BaTl2 (r2SCAN, relaxed); M_tot = 0.000 μB/f.u.; space group = P6_3/mmc; formation enthalpy at 0 K = -45.86 kJ per mole of atoms
1.0
-0.611 3.963 3.457
-2.759 -4.479 0.593
6.339 -3.262 4.860
Tl Ba
4 2
Direct
0.333 0.667 0.046 Tl
0.667 0.333 0.546 Tl
0.667 0.333 0.954 Tl
0.333 0.667 0.454 Tl
0.000 0.000 0.250 Ba
0.000 0.000 0.750 Ba

***

No. 5
Ba3Yb (r2SCAN, relaxed); M_tot = 1.000 μB/f.u.; E above lowest polymorph = 0.003 eV/atom; space group = Pm-3m; formation enthalpy at 0 K = 31.01 kJ per mole of atoms
1.0
-5.676 1.857 -0.138
-1.573 -4.546 3.542
0.996 3.402 4.808
Ba Yb
3 1
Direct
0.000 0.500 0.500 Ba
0.500 0.000 0.500 Ba
0.500 0.500 0.000 Ba
0.000 0.000 0.000 Yb

***

No. 6
Ba3Yb (r2SCAN, relaxed); M_tot = 0.999 μB/f.u.; E above lowest polymorph = 0.000 eV/atom; space group = I4/mmm; formation enthalpy at 0 K = 30.74 kJ per mole of atoms
1.0
-3.039 3.039 5.715
3.039 -3.039 5.715
3.039 3.039 -5.715
Ba Yb
3 1
Direct
0.250 0.750 0.500 Ba
0.500 0.500 0.000 Ba
0.750 0.250 0.500 Ba
0.000 0.000 0.000 Yb

***

No. 7
BaZn2 (r2SCAN, relaxed); M_tot = 0.000 μB/f.u.; space group = C2/c; formation enthalpy at 0 K = -15.23 kJ per mole of atoms
1.0
4.621 0.033 2.096
2.222 5.565 1.341
0.086 0.108 6.139
Zn Ba
4 2
Direct
0.419 0.737 0.429 Zn
0.581 0.263 0.571 Zn
0.081 0.071 0.763 Zn
0.919 0.929 0.237 Zn
0.750 0.687 0.813 Ba
0.250 0.313 0.187 Ba

***

No. 8
Be (r2SCAN, relaxed); M_tot = 0.000 μB/f.u.; E above lowest polymorph = 0.000 eV/atom; formation enthalpy at 0 K = 0.00 kJ per mole of atoms
1.0
3.574 0.000 0.000
0.000 3.920 0.000
0.000 0.000 2.269
Be
4
Direct
0.250 0.667 0.250 Be
0.750 0.333 0.250 Be
0.750 0.833 0.750 Be
0.250 0.167 0.750 Be

***

No. 9
Be (r2SCAN, relaxed); M_tot = 0.000 μB/f.u.; E above lowest polymorph = 0.103 eV/atom; space group = Im-3m; formation enthalpy at 0 K = 9.95 kJ per mole of atoms
1.0
0.078 0.936 -1.957
-1.339 -1.707 -0.068
-0.727 1.433 1.459
Be
1
Direct
0.000 0.000 0.000 Be

***

No. 10
Li3BePCO7 (r2SCAN, relaxed); M_tot = 0.000 μB/f.u.; space group = P2_1/m; formation enthalpy at 0 K = -223.58 kJ per mole of atoms
1.0
-1.697 5.780 1.257
0.526 -0.843 4.589
7.795 2.304 -0.073
Li O Be C P
6 14 2 2 2
Direct
0.479 0.775 0.762 Li
0.979 0.225 0.238 Li
0.750 0.250 0.877 Li
0.021 0.775 0.762 Li
0.250 0.750 0.123 Li
0.521 0.225 0.238 Li
0.750 0.581 0.183 O
0.055 0.817 0.319 O
0.250 0.976 0.929 O
0.945 0.183 0.681 O
0.250 0.347 0.092 O
0.250 0.419 0.817 O
0.555 0.183 0.681 O
0.250 0.873 0.594 O
0.250 0.408 0.464 O
0.445 0.817 0.319 O
0.750 0.653 0.908 O
0.750 0.024 0.071 O
0.750 0.127 0.406 O
0.750 0.592 0.536 O
0.250 0.223 0.636 Be
0.750 0.777 0.364 Be
0.250 0.248 0.946 C
0.750 0.752 0.054 C
0.750 0.268 0.573 P
0.250 0.732 0.427 P

***

No. 11
CaBe13 (r2SCAN, relaxed); M_tot = 0.000 μB/f.u.; space group = Fm-3c; formation enthalpy at 0 K = -9.95 kJ per mole of atoms
1.0
-5.076 -0.695 5.142
-1.393 -6.522 2.866
1.941 -1.447 6.843
Be Ca
26 2
Direct
0.436 0.211 0.789 Be
0.211 0.436 0.564 Be
0.000 0.000 0.000 Be
0.289 0.064 0.711 Be
0.789 0.211 0.564 Be
0.936 0.289 0.711 Be
0.936 0.711 0.064 Be
0.500 0.500 0.500 Be
0.789 0.436 0.211 Be
0.711 0.936 0.289 Be
0.289 0.936 0.064 Be
0.211 0.564 0.789 Be
0.711 0.289 0.064 Be
0.064 0.289 0.936 Be
0.789 0.564 0.436 Be
0.436 0.789 0.564 Be
0.564 0.789 0.211 Be
0.564 0.211 0.436 Be
0.064 0.711 0.289 Be
0.436 0.564 0.211 Be
0.564 0.436 0.789 Be
0.711 0.064 0.936 Be
0.936 0.064 0.289 Be
0.289 0.711 0.936 Be
0.064 0.936 0.711 Be
0.211 0.789 0.436 Be
0.750 0.750 0.750 Ca
0.250 0.250 0.250 Ca